1.
# Zn2SiO4

Crystalline Zn2SiO4 at its relaxed geometry (PBE-GGA, the Materials Project).

a b c (Å): 4.8497 6.0991 10.4378
angles (deg): 90.00 90.00 90.00
With the nearest neighbours (Å) after each atom.
Sites, in units of the cell vectors:
Zn 0.0000 0.0000 0.0000  6 O 2.12-2.20
Zn 0.0150 0.7500 0.2800  6 O 2.08-2.29
Zn 0.5000 0.5000 0.5000  6 O 2.12-2.20
Zn 0.5150 0.2500 0.2200  6 O 2.08-2.29
Zn 0.9850 0.2500 0.7200  6 O 2.08-2.29
Zn 0.4850 0.7500 0.7800  6 O 2.08-2.29
Zn 0.0000 0.5000 0.0000  6 O 2.12-2.20
Zn 0.5000 0.0000 0.5000  6 O 2.12-2.20
O 0.2798 0.4663 0.8356  1 Si 1.66
O 0.2798 0.0337 0.8356  1 Si 1.66
O 0.2202 0.0337 0.3356  1 Si 1.66
O 0.7639 0.2500 0.9063  1 Si 1.64
O 0.7161 0.7500 0.9490  1 Si 1.68
O 0.7839 0.7500 0.4490  1 Si 1.68
O 0.7798 0.5337 0.6644  1 Si 1.66
O 0.2639 0.7500 0.5937  1 Si 1.64
O 0.7202 0.5337 0.1644  1 Si 1.66
O 0.2361 0.7500 0.0937  1 Si 1.64
O 0.7202 0.9663 0.1644  1 Si 1.66
O 0.7361 0.2500 0.4063  1 Si 1.64
O 0.2202 0.4663 0.3356  1 Si 1.66
O 0.2161 0.2500 0.5510  1 Si 1.68
O 0.7798 0.9663 0.6644  1 Si 1.66
O 0.2839 0.2500 0.0510  1 Si 1.68
Si 0.9260 0.7500 0.5961  4 O 1.64-1.68
Si 0.5740 0.7500 0.0961  4 O 1.64-1.68
Si 0.4260 0.2500 0.9039  4 O 1.64-1.68
Si 0.0740 0.2500 0.4039  4 O 1.64-1.68

Formation enthalpy at 0 K in eV/atom: -2.364
Theoretical density in g/cm³: 4.8
Calculated volume in Å³/f.u.: 77.2
Crystal system: orthorhombic


2.
# Zn2SiO4

Crystalline Zn2SiO4 at its relaxed geometry (PBE-GGA, the Materials Project).

a b c (Å): 8.7526 8.7526 8.7526
angles (deg): 107.87 107.87 107.87
With the nearest neighbours (Å) after each atom.
Sites, in units of the cell vectors:
O 0.6468 0.9660 0.6398  1 Si 1.65
O 0.4277 0.0664 0.7511  1 Si 1.65
O 0.4010 0.7336 0.6877  1 Si 1.66
O 0.3092 0.9740 0.0279  1 Si 1.65
O 0.7336 0.6877 0.4010  1 Si 1.66
O 0.5723 0.9336 0.2489  1 Si 1.65
O 0.0260 0.9721 0.6908  1 Si 1.65
O 0.3602 0.3532 0.0340  1 Si 1.65
O 0.2489 0.5723 0.9336  1 Si 1.65
O 0.3123 0.5990 0.2664  1 Si 1.66
O 0.9336 0.2489 0.5723  1 Si 1.65
O 0.0340 0.3602 0.3532  1 Si 1.65
O 0.3532 0.0340 0.3602  1 Si 1.65
O 0.9660 0.6398 0.6468  1 Si 1.65
O 0.0664 0.7511 0.4277  1 Si 1.65
O 0.7511 0.4277 0.0664  1 Si 1.65
O 0.6398 0.6468 0.9660  1 Si 1.65
O 0.5990 0.2664 0.3123  1 Si 1.66
O 0.6877 0.4010 0.7336  1 Si 1.66
O 0.6908 0.0260 0.9721  1 Si 1.65
O 0.2664 0.3123 0.5990  1 Si 1.66
O 0.9740 0.0279 0.3092  1 Si 1.65
O 0.0279 0.3092 0.9740  1 Si 1.65
O 0.9721 0.6908 0.0260  1 Si 1.65
Zn 0.2779 0.0991 0.8751  4 O 1.97-1.98
Zn 0.1249 0.7221 0.9009  4 O 1.97-1.98
Zn 0.3898 0.5601 0.7953  4 O 1.97-2.01
Zn 0.0991 0.8751 0.2779  4 O 1.97-1.98
Zn 0.9009 0.1249 0.7221  4 O 1.97-1.98
Zn 0.7953 0.3898 0.5601  4 O 1.97-2.01
Zn 0.6102 0.4399 0.2047  4 O 1.97-2.01
Zn 0.4399 0.2047 0.6102  4 O 1.97-2.01
Zn 0.2047 0.6102 0.4399  4 O 1.97-2.01
Zn 0.8751 0.2779 0.0991  4 O 1.97-1.98
Zn 0.7221 0.9009 0.1249  4 O 1.97-1.98
Zn 0.5601 0.7953 0.3898  4 O 1.97-2.01
Si 0.0535 0.2352 0.4598  4 O 1.65-1.66
Si 0.4598 0.0535 0.2352  4 O 1.65-1.66
Si 0.7648 0.5402 0.9465  4 O 1.65-1.66
Si 0.5402 0.9465 0.7648  4 O 1.65-1.66
Si 0.9465 0.7648 0.5402  4 O 1.65-1.66
Si 0.2352 0.4598 0.0535  4 O 1.65-1.66

Formation enthalpy at 0 K in eV/atom: -2.447
Theoretical density in g/cm³: 4.1
Calculated volume in Å³/f.u.: 90.8
Crystal system: trigonal


3.
# Zn2SiO5

Crystalline Zn2SiO5 at its relaxed geometry (PBE-GGA, the Materials Project).

a b c (Å): 7.3350 7.3350 7.3350
angles (deg): 138.97 116.42 78.50
With the nearest neighbours (Å) after each atom.
Sites, in units of the cell vectors:
O 0.4780 0.6526 0.5244  1 Si 1.64
O 0.5220 0.0464 0.1746  1 Si 1.64
O 0.0000 0.2831 0.2831  2 O 1.46
O 0.1283 0.6526 0.1746  1 Si 1.64
O 0.8458 0.4486 0.2944  1 O 1.46
O 0.5000 0.8647 0.3647  2 Si 1.64
O 0.1542 0.4486 0.6028  1 O 1.46
O 0.6451 0.4338 0.7887  1 Si 1.63
O 0.8717 0.0464 0.5244  1 Si 1.64
O 0.3549 0.1436 0.7887  1 Si 1.63
Si 0.6361 0.1081 0.4720  4 O 1.63-1.64
Si 0.3639 0.8360 0.4720  4 O 1.63-1.64
Zn 0.1188 0.3250 0.7548  4 O 1.96-2.01
Zn 0.4298 0.6360 0.7548  4 O 1.96-2.01
Zn 0.5702 0.3250 0.2062  4 O 1.96-2.01
Zn 0.8812 0.6360 0.2062  4 O 1.96-2.01

Formation enthalpy at 0 K in eV/atom: -1.714
Theoretical density in g/cm³: 3.5
Calculated volume in Å³/f.u.: 112.8
Crystal system: orthorhombic